1.
A plane-wave DFT calculation with PBE was carried out for a relaxed Rb2S crystal.

The structure belongs to space group P6_3/mmc (No. 194); the cell edges are 5.5604, 5.5604 and 7.7567 Å and the angles 90.00°, 90.00° and 120.00°. Symmetry generates all atoms from Rb at (0.0000, 0.0000, 0.0000), Rb at (0.3333, 0.6667, 0.2500) and S at (0.3333, 0.6667, 0.7500).

The calculation puts the MP2020-corrected energy at -3.11 eV/atom. Its calculated volume is 34.62 Å³/atom. Its formation energy is -1073 meV per atom. As for the total energy: -0.216 Ry per atom.


2.
A plane-wave DFT calculation with PBE was carried out for a relaxed RbS crystal.

The structure belongs to space group P-62m (No. 189); the cell edges are 8.9656, 8.9656 and 6.1974 Å and the angles 90.00°, 90.00° and 120.00°. Symmetry generates all atoms from Rb at (0.0000, 0.3043, 0.0000), Rb at (0.0000, 0.6403, 0.5000), S at (0.0000, 0.0000, 0.3283) and S at (0.3333, 0.6667, 0.1729).

The calculation puts the MP2020-corrected energy at -3.72 eV/atom. For the largest piezoelectric modulus, the calculation gives 0.096 C/m2. Its calculated volume is 35.95 Å³/atom. Its formation energy is -1160 meV per atom. As for the total energy: -0.255 Ry per atom.


3.
A plane-wave DFT calculation with PBE was carried out for a relaxed RbS crystal.

The structure belongs to space group Pm-3m (No. 221); the cell edges are 4.013, 4.013 and 4.013 Å and the angles 90.00°, 90.00° and 90.00°. Symmetry generates all atoms from Rb at (0.000, 0.000, 0.000) and S at (0.500, 0.500, 0.500).

The calculation puts the MP2020-corrected energy at -3.22 eV/atom. Its calculated volume is 32.30 Å³/atom. Its formation energy is -666 meV per atom. As for the total energy: -0.219 Ry per atom.


4.
A plane-wave DFT calculation with PBE was carried out for a relaxed RbS crystal.

The structure belongs to space group Cmcm (No. 63); the cell edges are 5.076, 10.665 and 4.863 Å and the angles 90.00°, 90.00° and 90.00°. Symmetry generates all atoms from Rb at (0.000, 0.149, 0.250) and S at (0.000, 0.468, 0.250).

The calculation puts the MP2020-corrected energy at -3.54 eV/atom. Its calculated volume is 32.90 Å³/atom. Its formation energy is -984 meV per atom. As for the total energy: -0.242 Ry per atom.